BaEuInBiO6: optimized geometry, PBE.

Properties
ΔH_f (0 K) = -22.6 eV per formula unit
Distance to the lowest polymorph of the same formula = 0.77 eV/f.u.
V = 156 Å³/cell

a = 6.0391 Å, b = 6.0391 Å, c = 6.0391 Å
α = 60.00°, β = 60.00°, γ = 60.00°
Atoms (fractional coordinates):
Ba 0.0000 0.0000 0.0000
Eu 0.5000 0.5000 0.5000
In 0.2500 0.2500 0.2500
Bi 0.7500 0.7500 0.7500
O 0.5011 0.5011 0.9989
O 0.5011 0.9989 0.5011
O 0.5011 0.9989 0.9989
O 0.9989 0.5011 0.5011
O 0.9989 0.5011 0.9989
O 0.9989 0.9989 0.5011

***

PtC2S2O8F2: optimized geometry, PBE.

Properties
ΔH_f (0 K) = -23.4 eV per formula unit
V = 1088 Å³/cell

a = 7.7184 Å, b = 15.3136 Å, c = 11.9253 Å
α = 90.00°, β = 129.50°, γ = 90.00°
Atoms (fractional coordinates):
Pt 0.2272 0.1382 0.1967
Pt 0.2272 0.3618 0.6967
Pt 0.7728 0.6382 0.3033
Pt 0.7728 0.8618 0.8033
C 0.0390 0.2351 0.0919
C 0.0390 0.2649 0.5919
C 0.0548 0.1048 0.2509
C 0.0548 0.3952 0.7509
C 0.9452 0.6048 0.2491
C 0.9452 0.8952 0.7491
C 0.9610 0.7351 0.4081
C 0.9610 0.7649 0.9081
S 0.3677 0.1785 0.0011
S 0.3677 0.3215 0.5011
S 0.4072 0.5574 0.7764
S 0.4072 0.9426 0.2764
S 0.5928 0.0574 0.7236
S 0.5928 0.4426 0.2236
S 0.6323 0.6785 0.4989
S 0.6323 0.8215 0.9989
O 0.0509 0.5815 0.2186
O 0.0509 0.9185 0.7186
O 0.0740 0.7063 0.9715
O 0.0740 0.7937 0.4715
O 0.1515 0.2182 0.8956
O 0.1515 0.2818 0.3956
O 0.2562 0.5719 0.6226
O 0.2562 0.9281 0.1226
O 0.3855 0.1039 0.6292
O 0.3855 0.3961 0.1292
O 0.4338 0.1696 0.1512
O 0.4338 0.3304 0.6512
O 0.4418 0.7069 0.4837
O 0.4418 0.7931 0.9837
O 0.4506 0.0394 0.3173
O 0.4506 0.4606 0.8173
O 0.5494 0.5394 0.1827
O 0.5494 0.9606 0.6827
O 0.5582 0.2069 0.0163
O 0.5582 0.2931 0.5163
O 0.5662 0.6696 0.3488
O 0.5662 0.8304 0.8488
O 0.6145 0.6039 0.8708
O 0.6145 0.8961 0.3708
O 0.7438 0.0719 0.8774
O 0.7438 0.4281 0.3774
O 0.8485 0.7182 0.6044
O 0.8485 0.7818 0.1044
O 0.9260 0.2063 0.5285
O 0.9260 0.2937 0.0285
O 0.9491 0.0815 0.2814
O 0.9491 0.4185 0.7814
F 0.2666 0.5838 0.8291
F 0.2666 0.9162 0.3291
F 0.3328 0.0777 0.9539
F 0.3328 0.4223 0.4539
F 0.6672 0.5777 0.5461
F 0.6672 0.9223 0.0461
F 0.7334 0.0838 0.6709
F 0.7334 0.4162 0.1709

***

Zr2Te4Br2O11: optimized geometry, PBE.

Properties
ΔH_f (0 K) = -40.1 eV per formula unit
V = 714 Å³/cell

a = 7.9653 Å, b = 9.8960 Å, c = 10.8267 Å
α = 113.10°, β = 107.39°, γ = 98.44°
Atoms (fractional coordinates):
Zr 0.1120 0.3888 0.3808
Zr 0.3759 0.1104 0.1079
Zr 0.6241 0.8896 0.8921
Zr 0.8880 0.6112 0.6192
Te 0.0139 0.2595 0.0080
Te 0.2189 0.0183 0.7437
Te 0.2547 0.5107 0.7861
Te 0.4852 0.7598 0.4800
Te 0.5148 0.2402 0.5200
Te 0.7453 0.4894 0.2139
Te 0.7811 0.9817 0.2563
Te 0.9861 0.7405 0.9920
Br 0.0984 0.8744 0.3651
Br 0.3665 0.6141 0.1082
Br 0.6335 0.3859 0.8918
Br 0.9016 0.1256 0.6349
O 0.0679 0.6118 0.8255
O 0.0693 0.8234 0.6816
O 0.1055 0.4905 0.5965
O 0.1727 0.9185 0.0528
O 0.1815 0.1351 0.9234
O 0.1829 0.2560 0.1788
O 0.2946 0.5827 0.4194
O 0.3180 0.3264 0.5024
O 0.4153 0.0077 0.8958
O 0.4417 0.6795 0.8319
O 0.4864 0.1402 0.3229
O 0.5136 0.8598 0.6771
O 0.5583 0.3205 0.1681
O 0.5847 0.9923 0.1042
O 0.6820 0.6736 0.4976
O 0.7054 0.4173 0.5806
O 0.8171 0.7440 0.8212
O 0.8185 0.8649 0.0766
O 0.8273 0.0815 0.9472
O 0.8945 0.5095 0.4035
O 0.9307 0.1766 0.3184
O 0.9321 0.3882 0.1745

***

Tl3Au: optimized geometry, PBE.

Properties
ΔH_f (0 K) = 0.2 eV per formula unit
Distance to the lowest polymorph of the same formula = 0.01 eV/f.u.
V = 226 Å³/cell

a = 6.0897 Å, b = 6.0897 Å, c = 6.0897 Å
α = 90.00°, β = 90.00°, γ = 90.00°
Atoms (fractional coordinates):
Tl 0.0000 0.2500 0.5000
Tl 0.0000 0.7500 0.5000
Tl 0.2500 0.5000 0.0000
Tl 0.5000 0.0000 0.2500
Tl 0.5000 0.0000 0.7500
Tl 0.7500 0.5000 0.0000
Au 0.0000 0.0000 0.0000
Au 0.5000 0.5000 0.5000

***

Y3VCo8: optimized geometry, PBE.

Properties
ΔH_f (0 K) = -1.6 eV per formula unit
V = 174 Å³/cell

a = 8.3984 Å, b = 8.3984 Å, c = 8.3984 Å
α = 34.99°, β = 34.99°, γ = 34.99°
Atoms (fractional coordinates):
Y 0.0000 0.0000 0.0000
Y 0.1400 0.1400 0.1400
Y 0.2802 0.2802 0.2802
V 0.8083 0.8083 0.8083
Co 0.0592 0.5593 0.5593
Co 0.2264 0.7180 0.7180
Co 0.4728 0.4728 0.4728
Co 0.5593 0.0592 0.5593
Co 0.5593 0.5593 0.0592
Co 0.6409 0.6409 0.6409
Co 0.7180 0.2264 0.7180
Co 0.7180 0.7180 0.2264

***

LiSbN2: optimized geometry, PBE.

Properties
ΔH_f (0 K) = -0.6 eV per formula unit
V = 219 Å³/cell

a = 5.7841 Å, b = 6.9614 Å, c = 5.4476 Å
α = 90.00°, β = 90.00°, γ = 90.00°
Atoms (fractional coordinates):
Li 0.0832 0.1252 0.0000
Li 0.4168 0.6252 0.5000
Li 0.5832 0.3748 0.0000
Li 0.9168 0.8748 0.5000
Sb 0.0812 0.6260 0.0035
Sb 0.4188 0.1260 0.5035
Sb 0.5812 0.8740 0.0035
Sb 0.9188 0.3740 0.5035
N 0.0653 0.6154 0.3742
N 0.0879 0.1355 0.3897
N 0.4121 0.6355 0.8897
N 0.4347 0.1154 0.8742
N 0.5653 0.8846 0.3742
N 0.5879 0.3645 0.3897
N 0.9121 0.8645 0.8897
N 0.9347 0.3846 0.8742